Record 1
DFT (PBE-GGA) results for crystalline Cs2LiBr3 at its relaxed geometry.

Properties
**Space-group type**: Cmcm, No. 63

Cell: 12.5410 12.5410 8.2453 Å, 90.00 90.00 159.27°
Sites, in units of the cell vectors:
Cs: 0.0053 0.9947 0.7500
Cs: 0.1774 0.8226 0.2500
Cs: 0.8226 0.1774 0.7500
Cs: 0.9947 0.0053 0.2500
Li: 0.3506 0.6494 0.2500
Li: 0.6494 0.3506 0.7500
Br: 0.2048 0.7952 0.7500
Br: 0.4120 0.5880 0.5020
Br: 0.4120 0.5880 0.9980
Br: 0.5880 0.4120 0.0020
Br: 0.5880 0.4120 0.4980
Br: 0.7952 0.2048 0.2500

***

Record 2
DFT (PBE-GGA) results for crystalline Cs2LiNdBr6 at its relaxed geometry.

Properties
**Space-group type**: Fm-3m, No. 225

Cell: 8.0407 8.0407 8.0407 Å, 60.00 60.00 60.00°
Sites, in units of the cell vectors:
Cs: 0.2500 0.2500 0.2500
Cs: 0.7500 0.7500 0.7500
Li: 0.0000 0.0000 0.0000
Nd: 0.5000 0.5000 0.5000
Br: 0.2457 0.2457 0.7543
Br: 0.2457 0.7543 0.2457
Br: 0.2457 0.7543 0.7543
Br: 0.7543 0.2457 0.2457
Br: 0.7543 0.2457 0.7543
Br: 0.7543 0.7543 0.2457

***

Record 3
DFT (PBE-GGA) results for crystalline Cs2LiTaBr6 at its relaxed geometry.

Properties
**Space-group type**: Fm-3m, No. 225

Cell: 7.7433 7.7433 7.7433 Å, 60.00 60.00 60.00°
Sites, in units of the cell vectors:
Cs: 0.2500 0.2500 0.2500
Cs: 0.7500 0.7500 0.7500
Li: 0.0000 0.0000 0.0000
Ta: 0.5000 0.5000 0.5000
Br: 0.2578 0.2578 0.7422
Br: 0.2578 0.7422 0.2578
Br: 0.2578 0.7422 0.7422
Br: 0.7422 0.2578 0.2578
Br: 0.7422 0.2578 0.7422
Br: 0.7422 0.7422 0.2578

***

Record 4
DFT (PBE-GGA) results for crystalline Cs2LiYBr6 at its relaxed geometry.

Properties
**Space-group type**: Fm-3m, No. 225

Cell: 7.9305 7.9305 7.9305 Å, 60.00 60.00 60.00°
Sites, in units of the cell vectors:
Cs: 0.2500 0.2500 0.2500
Cs: 0.7500 0.7500 0.7500
Li: 0.0000 0.0000 0.0000
Y: 0.5000 0.5000 0.5000
Br: 0.2499 0.2499 0.7501
Br: 0.2499 0.7501 0.2499
Br: 0.2499 0.7501 0.7501
Br: 0.7501 0.2499 0.2499
Br: 0.7501 0.2499 0.7501
Br: 0.7501 0.7501 0.2499

***

Record 5
DFT (PBE-GGA) results for crystalline CsLuNb6Br18 at its relaxed geometry.

Properties
**Space-group type**: P-31c, No. 163

Cell: 9.9126 9.9126 18.5004 Å, 90.00 90.00 120.00°
Sites, in units of the cell vectors:
Cs: 0.3333 0.6667 0.2500
Cs: 0.6667 0.3333 0.7500
Lu: 0.3333 0.6667 0.7500
Lu: 0.6667 0.3333 0.2500
Nb: 0.0392 0.1885 0.9350
Nb: 0.0392 0.8507 0.5650
Nb: 0.1493 0.1885 0.5650
Nb: 0.1493 0.9608 0.9350
Nb: 0.1885 0.0392 0.4350
Nb: 0.1885 0.1493 0.0650
Nb: 0.8115 0.8507 0.9350
Nb: 0.8115 0.9608 0.5650
Nb: 0.8507 0.0392 0.0650
Nb: 0.8507 0.8115 0.4350
Nb: 0.9608 0.1493 0.4350
Nb: 0.9608 0.8115 0.0650
Br: 0.0471 0.2329 0.1599
Br: 0.0471 0.8142 0.3401
Br: 0.0889 0.4522 0.8370
Br: 0.0889 0.6367 0.6630
Br: 0.1394 0.4170 0.4988
Br: 0.1394 0.7224 0.0012
Br: 0.1858 0.2329 0.3401
Br: 0.1858 0.9529 0.1599
Br: 0.2329 0.0471 0.6599
Br: 0.2329 0.1858 0.8401
Br: 0.2776 0.4170 0.0012
Br: 0.2776 0.8606 0.4988
Br: 0.3633 0.4522 0.6630
Br: 0.3633 0.9111 0.8370
Br: 0.4170 0.1394 0.9988
Br: 0.4170 0.2776 0.5012
Br: 0.4522 0.0889 0.3370
Br: 0.4522 0.3633 0.1630
Br: 0.5478 0.6367 0.8370
Br: 0.5478 0.9111 0.6630
Br: 0.5830 0.7224 0.4988
Br: 0.5830 0.8606 0.0012
Br: 0.6367 0.0889 0.1630
Br: 0.6367 0.5478 0.3370
Br: 0.7224 0.1394 0.5012
Br: 0.7224 0.5830 0.9988
Br: 0.7671 0.8142 0.1599
Br: 0.7671 0.9529 0.3401
Br: 0.8142 0.0471 0.8401
Br: 0.8142 0.7671 0.6599
Br: 0.8606 0.2776 0.9988
Br: 0.8606 0.5830 0.5012
Br: 0.9111 0.3633 0.3370
Br: 0.9111 0.5478 0.1630
Br: 0.9529 0.1858 0.6599
Br: 0.9529 0.7671 0.8401

***

Record 6
DFT (PBE-GGA) results for crystalline CsLuTa6Br18 at its relaxed geometry.

Properties
**Space-group type**: P-31c, No. 163

Cell: 9.9020 9.9020 18.4848 Å, 90.00 90.00 120.00°
Sites, in units of the cell vectors:
Cs: 0.3333 0.6667 0.2500
Cs: 0.6667 0.3333 0.7500
Lu: 0.3333 0.6667 0.7500
Lu: 0.6667 0.3333 0.2500
Ta: 0.0385 0.1858 0.9359
Ta: 0.0385 0.8527 0.5641
Ta: 0.1473 0.1858 0.5641
Ta: 0.1473 0.9615 0.9359
Ta: 0.1858 0.0385 0.4359
Ta: 0.1858 0.1473 0.0641
Ta: 0.8142 0.8527 0.9359
Ta: 0.8142 0.9615 0.5641
Ta: 0.8527 0.0385 0.0641
Ta: 0.8527 0.8142 0.4359
Ta: 0.9615 0.1473 0.4359
Ta: 0.9615 0.8142 0.0641
Br: 0.0469 0.2322 0.1594
Br: 0.0469 0.8147 0.3406
Br: 0.0882 0.4501 0.8377
Br: 0.0882 0.6381 0.6623
Br: 0.1388 0.4158 0.4989
Br: 0.1388 0.7230 0.0011
Br: 0.1853 0.2322 0.3406
Br: 0.1853 0.9531 0.1594
Br: 0.2322 0.0469 0.6594
Br: 0.2322 0.1853 0.8406
Br: 0.2770 0.4158 0.0011
Br: 0.2770 0.8612 0.4989
Br: 0.3619 0.4501 0.6623
Br: 0.3619 0.9118 0.8377
Br: 0.4158 0.1388 0.9989
Br: 0.4158 0.2770 0.5011
Br: 0.4501 0.0882 0.3377
Br: 0.4501 0.3619 0.1623
Br: 0.5499 0.6381 0.8377
Br: 0.5499 0.9118 0.6623
Br: 0.5842 0.7230 0.4989
Br: 0.5842 0.8612 0.0011
Br: 0.6381 0.0882 0.1623
Br: 0.6381 0.5499 0.3377
Br: 0.7230 0.1388 0.5011
Br: 0.7230 0.5842 0.9989
Br: 0.7678 0.8147 0.1594
Br: 0.7678 0.9531 0.3406
Br: 0.8147 0.0469 0.8406
Br: 0.8147 0.7678 0.6594
Br: 0.8612 0.2770 0.9989
Br: 0.8612 0.5842 0.5011
Br: 0.9118 0.3619 0.3377
Br: 0.9118 0.5499 0.1623
Br: 0.9531 0.1853 0.6594
Br: 0.9531 0.7678 0.8406

***

Record 7
DFT (PBE-GGA) results for crystalline CsMgBr3 at its relaxed geometry.

Properties
**Space-group type**: P6_3/mmc, No. 194

Cell: 7.8198 7.8198 6.6228 Å, 90.00 90.00 120.00°
Sites, in units of the cell vectors:
Cs: 0.3333 0.6667 0.2500
Cs: 0.6667 0.3333 0.7500
Mg: 0.0000 0.0000 0.0000
Mg: 0.0000 0.0000 0.5000
Br: 0.1573 0.3146 0.7500
Br: 0.1573 0.8427 0.7500
Br: 0.3146 0.1573 0.2500
Br: 0.6854 0.8427 0.7500
Br: 0.8427 0.1573 0.2500
Br: 0.8427 0.6854 0.2500

***

Record 8
DFT (PBE-GGA) results for crystalline Cs3MnBr5 at its relaxed geometry.

Properties
**Space-group type**: I4/mcm, No. 140

Cell: 10.4985 10.4985 10.4985 Å, 123.56 123.56 83.93°
Sites, in units of the cell vectors:
Cs: 0.1643 0.6643 0.8285
Cs: 0.2500 0.2500 0.0000
Cs: 0.3357 0.1643 0.5000
Cs: 0.6643 0.8357 0.5000
Cs: 0.7500 0.7500 0.0000
Cs: 0.8357 0.3357 0.1715
Mn: 0.2500 0.7500 0.5000
Mn: 0.7500 0.2500 0.5000
Br: 0.0000 0.0000 0.0000
Br: 0.0122 0.7950 0.5000
Br: 0.2050 0.7050 0.2172
Br: 0.2950 0.5122 0.5000
Br: 0.4878 0.9878 0.7828
Br: 0.5000 0.5000 0.0000
Br: 0.5122 0.0122 0.2172
Br: 0.7050 0.4878 0.5000
Br: 0.7950 0.2950 0.7828
Br: 0.9878 0.2050 0.5000

***

Record 9
DFT (PBE-GGA) results for crystalline Cs3Mo2Br9 at its relaxed geometry.

Properties
**Space-group type**: P6_3/mmc, No. 194

Cell: 7.9124 7.9124 19.0748 Å, 90.00 90.00 120.00°
Sites, in units of the cell vectors:
Cs: 0.0000 0.0000 0.2500
Cs: 0.0000 0.0000 0.7500
Cs: 0.3333 0.6667 0.0694
Cs: 0.3333 0.6667 0.4306
Cs: 0.6667 0.3333 0.5694
Cs: 0.6667 0.3333 0.9306
Mo: 0.3333 0.6667 0.6748
Mo: 0.3333 0.6667 0.8252
Mo: 0.6667 0.3333 0.1748
Mo: 0.6667 0.3333 0.3252
Br: 0.0115 0.5058 0.7500
Br: 0.1797 0.3594 0.5961
Br: 0.1797 0.3594 0.9039
Br: 0.1797 0.8203 0.5961
Br: 0.1797 0.8203 0.9039
Br: 0.3594 0.1797 0.0961
Br: 0.3594 0.1797 0.4039
Br: 0.4942 0.5058 0.7500
Br: 0.4942 0.9885 0.7500
Br: 0.5058 0.0115 0.2500
Br: 0.5058 0.4942 0.2500
Br: 0.6406 0.8203 0.5961
Br: 0.6406 0.8203 0.9039
Br: 0.8203 0.1797 0.0961
Br: 0.8203 0.1797 0.4039
Br: 0.8203 0.6406 0.0961
Br: 0.8203 0.6406 0.4039
Br: 0.9885 0.4942 0.2500

***

Record 10
DFT (PBE-GGA) results for crystalline Cs2NaMoBr6 at its relaxed geometry.

Properties
**Space-group type**: Fm-3m, No. 225

Cell: 7.9118 7.9118 7.9118 Å, 60.00 60.00 60.00°
Sites, in units of the cell vectors:
Cs: 0.2500 0.2500 0.2500
Cs: 0.7500 0.7500 0.7500
Na: 0.0000 0.0000 0.0000
Mo: 0.5000 0.5000 0.5000
Br: 0.2656 0.2656 0.7344
Br: 0.2656 0.7344 0.2656
Br: 0.2656 0.7344 0.7344
Br: 0.7344 0.2656 0.2656
Br: 0.7344 0.2656 0.7344
Br: 0.7344 0.7344 0.2656

***

Record 11
DFT (PBE-GGA) results for crystalline CsPr9NbBr15N6 at its relaxed geometry.

Properties
**Space-group type**: P6_3/m, No. 176

Cell: 12.4694 12.4694 13.8658 Å, 90.00 90.00 120.00°
Sites, in units of the cell vectors:
Cs: 0.0000 0.0000 0.2500
Cs: 0.0000 0.0000 0.7500
Pr: 0.0247 0.5821 0.2500
Pr: 0.1842 0.4617 0.0651
Pr: 0.1842 0.4617 0.4349
Pr: 0.2776 0.8158 0.0651
Pr: 0.2776 0.8158 0.4349
Pr: 0.4179 0.4426 0.2500
Pr: 0.4426 0.0247 0.7500
Pr: 0.4617 0.2776 0.5651
Pr: 0.4617 0.2776 0.9349
Pr: 0.5383 0.7224 0.0651
Pr: 0.5383 0.7224 0.4349
Pr: 0.5574 0.9753 0.2500
Pr: 0.5821 0.5574 0.7500
Pr: 0.7224 0.1842 0.5651
Pr: 0.7224 0.1842 0.9349
Pr: 0.8158 0.5383 0.5651
Pr: 0.8158 0.5383 0.9349
Pr: 0.9753 0.4179 0.7500
Nb: 0.3333 0.6667 0.2500
Nb: 0.6667 0.3333 0.7500
Br: 0.0115 0.2562 0.5958
Br: 0.0115 0.2562 0.9042
Br: 0.0571 0.3271 0.2500
Br: 0.1361 0.6123 0.5916
Br: 0.1361 0.6123 0.9084
Br: 0.2447 0.9885 0.5958
Br: 0.2447 0.9885 0.9042
Br: 0.2562 0.2447 0.0958
Br: 0.2562 0.2447 0.4042
Br: 0.2701 0.9429 0.2500
Br: 0.3271 0.2701 0.7500
Br: 0.3877 0.5238 0.5916
Br: 0.3877 0.5238 0.9084
Br: 0.4762 0.8639 0.5916
Br: 0.4762 0.8639 0.9084
Br: 0.5238 0.1361 0.0916
Br: 0.5238 0.1361 0.4084
Br: 0.6123 0.4762 0.0916
Br: 0.6123 0.4762 0.4084
Br: 0.6729 0.7299 0.2500
Br: 0.7299 0.0571 0.7500
Br: 0.7438 0.7553 0.5958
Br: 0.7438 0.7553 0.9042
Br: 0.7553 0.0115 0.0958
Br: 0.7553 0.0115 0.4042
Br: 0.8639 0.3877 0.0916
Br: 0.8639 0.3877 0.4084
Br: 0.9429 0.6729 0.7500
Br: 0.9885 0.7438 0.0958
Br: 0.9885 0.7438 0.4042
N: 0.1878 0.6273 0.1488
N: 0.1878 0.6273 0.3512
N: 0.3727 0.5604 0.1488
N: 0.3727 0.5604 0.3512
N: 0.4396 0.8122 0.1488
N: 0.4396 0.8122 0.3512
N: 0.5604 0.1878 0.6488
N: 0.5604 0.1878 0.8512
N: 0.6273 0.4396 0.6488
N: 0.6273 0.4396 0.8512
N: 0.8122 0.3727 0.6488
N: 0.8122 0.3727 0.8512

***

Record 12
DFT (PBE-GGA) results for crystalline Cs2NaNdBr6 at its relaxed geometry.

Properties
**Space-group type**: Fm-3m, No. 225

Cell: 8.2523 8.2523 8.2523 Å, 60.00 60.00 60.00°
Sites, in units of the cell vectors:
Cs: 0.2500 0.2500 0.2500
Cs: 0.7500 0.7500 0.7500
Na: 0.0000 0.0000 0.0000
Nd: 0.5000 0.5000 0.5000
Br: 0.2525 0.2525 0.7475
Br: 0.2525 0.7475 0.2525
Br: 0.2525 0.7475 0.7475
Br: 0.7475 0.2525 0.2525
Br: 0.7475 0.2525 0.7475
Br: 0.7475 0.7475 0.2525

***

Number 1: DFT formation energy -1.966 eV per atom. Number 2: DFT formation energy -2.147 eV per atom. Number 3: DFT formation energy -1.605 eV per atom. Number 4: DFT formation energy -2.154 eV per atom. Number 5: DFT formation energy -1.508 eV per atom. Number 6: DFT formation energy -1.490 eV per atom. Number 7: DFT formation energy -1.982 eV per atom. Number 8: DFT formation energy -1.803 eV per atom. Number 9: DFT formation energy -1.483 eV per atom. Number 10: DFT formation energy -1.591 eV per atom. Number 11: DFT formation energy -1.843 eV per atom. Number 12: DFT formation energy -2.157 eV per atom.